Record 1
The following is a PBE calculation of crystalline Na15Mg2Ta10Si15P3O72 at its relaxed geometry, from the Materials Project.

```
Na15Mg2Ta10Si15P3O72
1.0
8.981 0.000 0.000
-4.490 7.790 0.000
-0.010 -0.024 22.533
Na Mg Ta Si P O
15 2 10 15 3 72
direct
0.000 0.000 0.000
0.001 0.401 0.503
0.027 0.360 0.843
0.034 0.711 0.591
0.039 0.715 0.090
0.347 0.750 0.001
0.353 0.998 0.499
0.368 0.371 0.257
0.378 0.394 0.756
0.389 0.068 0.843
0.390 0.721 0.344
0.699 0.036 0.921
0.709 0.057 0.420
0.749 0.749 0.499
0.750 0.396 0.998
0.033 0.715 0.442
0.037 0.717 0.942
0.031 0.720 0.237
0.033 0.714 0.737
0.362 0.379 0.117
0.366 0.380 0.901
0.371 0.388 0.616
0.375 0.382 0.401
0.697 0.048 0.572
0.700 0.050 0.278
0.700 0.052 0.073
0.701 0.047 0.777
0.026 0.997 0.845
0.076 0.381 0.009
0.322 0.004 0.344
0.325 0.719 0.844
0.367 0.092 0.009
0.367 0.672 0.508
0.406 0.046 0.676
0.408 0.759 0.175
0.657 0.382 0.509
0.704 0.343 0.176
0.706 0.761 0.674
0.747 0.430 0.844
0.750 0.721 0.345
0.987 0.045 0.175
0.990 0.342 0.675
0.030 0.425 0.343
0.082 0.101 0.509
0.650 0.668 0.010
0.004 0.494 0.402
0.008 0.530 0.681
0.008 0.876 0.182
0.052 0.546 0.007
0.061 0.922 0.505
0.062 0.545 0.290
0.066 0.909 0.788
0.168 0.216 0.454
0.170 0.352 0.949
0.178 0.216 0.168
0.178 0.357 0.668
0.191 0.192 0.564
0.196 0.682 0.787
0.198 0.410 0.347
0.198 0.906 0.009
0.201 0.400 0.065
0.201 0.696 0.507
0.201 0.903 0.286
0.205 0.194 0.848
0.218 0.738 0.183
0.220 0.874 0.682
0.256 0.892 0.403
0.259 0.762 0.904
0.336 0.194 0.348
0.339 0.542 0.849
0.349 0.548 0.564
0.358 0.204 0.065
0.388 0.216 0.667
0.394 0.572 0.168
0.395 0.579 0.448
0.400 0.215 0.949
0.503 0.878 0.116
0.504 0.023 0.616
0.517 0.034 0.332
0.517 0.885 0.832
0.528 0.075 0.733
0.529 0.349 0.451
0.529 0.854 0.233
0.532 0.572 0.668
0.534 0.361 0.168
0.534 0.579 0.954
0.546 0.079 0.013
0.548 0.548 0.347
0.549 0.860 0.512
0.550 0.395 0.565
0.551 0.403 0.848
0.558 0.560 0.065
0.660 0.848 0.013
0.668 0.202 0.512
0.675 0.216 0.231
0.679 0.860 0.730
0.710 0.880 0.334
0.713 0.232 0.833
0.726 0.875 0.614
0.727 0.248 0.115
0.828 0.689 0.006
0.841 0.549 0.785
0.843 0.691 0.287
0.844 0.549 0.507
0.848 0.746 0.406
0.859 0.495 0.903
0.872 0.244 0.615
0.873 0.022 0.114
0.873 0.043 0.833
0.875 0.743 0.682
0.876 0.241 0.333
0.876 0.528 0.183
0.888 0.198 0.012
0.890 0.072 0.231
0.896 0.224 0.733
0.901 0.088 0.513
0.999 0.900 0.906
```

**Magnetic moment**: 0.0 μB per formula unit
**E (MP2020)**: -0.599 Ry per atom


Record 2
The following is a PBE calculation of crystalline Na9Mg2Ta10Si9P9O72 at its relaxed geometry, from the Materials Project.

```
Na9Mg2Ta10Si9P9O72
1.0
8.852 0.000 0.000
4.405 7.678 0.000
0.008 0.000 22.755
Na Mg Ta Si P O
9 2 10 9 9 72
direct
0.000 0.000 0.000
0.000 0.000 0.500
0.008 0.364 0.249
0.333 0.343 0.830
0.343 0.324 0.331
0.366 0.006 0.748
0.366 0.625 0.248
0.666 0.673 0.166
0.672 0.660 0.667
0.333 0.341 0.686
0.342 0.324 0.186
0.002 0.002 0.147
0.004 0.994 0.856
0.004 0.997 0.646
0.335 0.333 0.979
0.335 0.334 0.479
0.664 0.670 0.315
0.667 0.666 0.521
0.667 0.667 0.020
0.668 0.662 0.814
0.999 0.006 0.357
0.291 0.700 0.751
0.293 0.004 0.251
0.378 0.667 0.418
0.380 0.954 0.917
0.668 0.956 0.418
0.669 0.377 0.918
0.705 0.288 0.251
0.955 0.665 0.918
0.956 0.380 0.418
0.001 0.288 0.751
0.046 0.335 0.086
0.046 0.619 0.586
0.334 0.620 0.086
0.335 0.046 0.586
0.621 0.045 0.085
0.621 0.334 0.586
0.712 0.002 0.751
0.999 0.714 0.251
0.023 0.808 0.592
0.024 0.172 0.805
0.025 0.168 0.090
0.029 0.801 0.305
0.119 0.366 0.141
0.123 0.510 0.639
0.147 0.495 0.928
0.148 0.358 0.428
0.158 0.535 0.244
0.160 0.537 0.529
0.161 0.305 0.030
0.165 0.298 0.744
0.167 0.024 0.307
0.168 0.025 0.591
0.168 0.807 0.090
0.168 0.812 0.807
0.187 0.836 0.409
0.187 0.978 0.909
0.195 0.841 0.695
0.198 0.961 0.194
0.298 0.179 0.246
0.306 0.160 0.530
0.307 0.533 0.030
0.311 0.515 0.747
0.359 0.146 0.927
0.360 0.494 0.427
0.364 0.517 0.141
0.365 0.119 0.642
0.471 0.831 0.974
0.472 0.697 0.475
0.478 0.704 0.757
0.479 0.821 0.257
0.494 0.859 0.576
0.496 0.146 0.428
0.496 0.359 0.927
0.496 0.646 0.075
0.499 0.633 0.359
0.500 0.867 0.858
0.512 0.324 0.246
0.513 0.121 0.139
0.513 0.365 0.639
0.530 0.154 0.745
0.536 0.159 0.029
0.537 0.305 0.529
0.635 0.501 0.860
0.635 0.865 0.360
0.647 0.494 0.575
0.647 0.858 0.075
0.697 0.832 0.475
0.698 0.470 0.975
0.698 0.832 0.757
0.702 0.477 0.257
0.803 0.025 0.805
0.808 0.166 0.307
0.809 0.022 0.091
0.809 0.169 0.591
0.832 0.472 0.475
0.832 0.972 0.696
0.833 0.697 0.975
0.834 0.470 0.757
0.834 0.694 0.257
0.838 0.187 0.908
0.840 0.973 0.410
0.841 0.194 0.194
0.859 0.494 0.075
0.859 0.647 0.575
0.865 0.634 0.860
0.870 0.497 0.358
0.968 0.200 0.696
0.968 0.832 0.195
0.975 0.838 0.910
0.976 0.188 0.411
```

**Magnetic moment**: 0.0 μB per formula unit
**E (MP2020)**: -0.614 Ry per atom


Record 3
The following is a PBE calculation of crystalline Na21Mg4Ta8Si15P3O72 at its relaxed geometry, from the Materials Project.

```
Na21Mg4Ta8Si15P3O72
1.0
9.083 0.000 0.000
4.529 7.879 0.000
0.000 0.021 22.301
Na Mg Ta Si P O
21 4 8 15 3 72
direct
0.000 0.000 0.000
0.001 0.602 0.493
0.262 0.994 0.494
0.268 0.329 0.999
0.299 0.642 0.920
0.320 0.632 0.414
0.327 0.257 0.665
0.328 0.008 0.163
0.331 0.951 0.842
0.619 0.312 0.842
0.634 0.976 0.246
0.652 0.967 0.748
0.659 0.597 0.997
0.665 0.329 0.496
0.675 0.658 0.665
0.679 0.254 0.163
0.922 0.010 0.662
0.927 0.658 0.166
0.975 0.303 0.579
0.977 0.302 0.079
0.983 0.950 0.339
0.641 0.978 0.107
0.644 0.977 0.606
0.976 0.305 0.434
0.976 0.306 0.937
0.307 0.644 0.566
0.308 0.641 0.774
0.312 0.639 0.275
0.313 0.641 0.066
0.641 0.975 0.900
0.646 0.973 0.396
0.975 0.309 0.734
0.978 0.307 0.235
0.019 0.638 0.670
0.019 0.933 0.171
0.265 0.311 0.840
0.269 0.016 0.339
0.306 0.352 0.170
0.308 0.934 0.670
0.349 0.977 0.007
0.602 0.351 0.670
0.603 0.639 0.171
0.644 0.267 0.007
0.682 0.313 0.340
0.687 0.601 0.838
0.934 0.978 0.506
0.976 0.014 0.839
0.979 0.596 0.340
0.356 0.264 0.506
0.642 0.687 0.506
0.932 0.688 0.006
0.007 0.493 0.400
0.011 0.120 0.175
0.014 0.460 0.675
0.021 0.086 0.897
0.110 0.680 0.007
0.119 0.815 0.228
0.126 0.659 0.725
0.127 0.794 0.508
0.128 0.344 0.175
0.130 0.119 0.675
0.135 0.637 0.329
0.144 0.826 0.827
0.145 0.606 0.610
0.146 0.838 0.111
0.154 0.086 0.398
0.161 0.138 0.000
0.161 0.340 0.899
0.173 0.278 0.780
0.174 0.138 0.279
0.175 0.295 0.499
0.274 0.476 0.110
0.276 0.837 0.612
0.290 0.828 0.327
0.306 0.467 0.828
0.323 0.460 0.225
0.330 0.813 0.728
0.338 0.796 0.007
0.349 0.443 0.508
0.432 0.163 0.563
0.438 0.997 0.065
0.457 0.135 0.842
0.459 0.455 0.007
0.459 0.997 0.345
0.471 0.168 0.169
0.472 0.954 0.667
0.473 0.673 0.508
0.475 0.171 0.451
0.475 0.662 0.226
0.476 0.944 0.946
0.483 0.454 0.727
0.492 0.472 0.328
0.493 0.630 0.827
0.508 0.477 0.611
0.510 0.606 0.111
0.612 0.807 0.451
0.615 0.170 0.946
0.619 0.168 0.669
0.626 0.801 0.168
0.659 0.768 0.564
0.660 0.794 0.841
0.672 0.133 0.344
0.674 0.154 0.065
0.757 0.339 0.401
0.757 0.483 0.896
0.787 0.460 0.176
0.788 0.342 0.674
0.794 0.509 0.500
0.801 0.004 0.842
0.801 0.302 0.999
0.806 0.791 0.344
0.807 0.505 0.778
0.811 0.276 0.281
0.826 0.000 0.566
0.831 0.765 0.062
0.834 0.801 0.668
0.835 0.951 0.169
0.838 0.808 0.950
0.839 0.946 0.447
0.945 0.141 0.779
0.951 0.502 0.280
0.958 0.510 0.997
0.966 0.137 0.501
```

**Magnetic moment**: 0.0 μB per formula unit
**E (MP2020)**: -0.566 Ry per atom